No. 1
Entry from the Materials Project database: a relaxed structure of Ho2Sc3Si4 (r2SCAN). Values from VASP.

Values from the calculation:
Energy of formation ... -84.9 kJ/mol of atoms
Calculated density ... 5.273 g/cm3

```
&SYSTEM
  ibrav = 0, nat = 36, ntyp = 3
/
ATOMIC_SPECIES
Ho 164.93 Ho.upf
Sc 44.96 Sc.upf
Si 28.09 Si.upf
CELL_PARAMETERS angstrom
7.065 0.000 0.000
0.000 13.941 0.000
0.000 0.000 7.380
ATOMIC_POSITIONS crystal
Ho 0.012 0.097 0.176
Ho 0.012 0.403 0.176
Ho 0.488 0.597 0.676
Ho 0.488 0.903 0.676
Ho 0.512 0.097 0.324
Ho 0.512 0.403 0.324
Ho 0.988 0.597 0.824
Ho 0.988 0.903 0.824
Sc 0.163 0.750 0.503
Sc 0.170 0.126 0.677
Sc 0.170 0.374 0.677
Sc 0.330 0.626 0.177
Sc 0.330 0.874 0.177
Sc 0.337 0.250 0.003
Sc 0.663 0.750 0.997
Sc 0.670 0.126 0.823
Sc 0.670 0.374 0.823
Sc 0.830 0.626 0.323
Sc 0.830 0.874 0.323
Sc 0.837 0.250 0.497
Si 0.033 0.750 0.114
Si 0.158 0.539 0.465
Si 0.158 0.961 0.465
Si 0.214 0.250 0.371
Si 0.286 0.750 0.871
Si 0.342 0.039 0.965
Si 0.342 0.461 0.965
Si 0.467 0.250 0.614
Si 0.533 0.750 0.386
Si 0.658 0.539 0.035
Si 0.658 0.961 0.035
Si 0.714 0.250 0.129
Si 0.786 0.750 0.629
Si 0.842 0.039 0.535
Si 0.842 0.461 0.535
Si 0.967 0.250 0.886
```

=====

No. 2
Entry from the Materials Project database: a relaxed structure of NaSn3 (r2SCAN). Values from VASP.

Values from the calculation:
Energy of formation ... -3.7 kJ/mol of atoms
Calculated density ... 6.012 g/cm3

```
&SYSTEM
  ibrav = 0, nat = 8, ntyp = 2
/
ATOMIC_SPECIES
Na 22.99 Na.upf
Sn 118.71 Sn.upf
CELL_PARAMETERS angstrom
6.752 0.000 0.000
-3.376 5.847 0.000
0.000 0.000 5.305
ATOMIC_POSITIONS crystal
Na 0.333 0.667 0.250
Na 0.667 0.333 0.750
Sn 0.163 0.326 0.750
Sn 0.163 0.837 0.750
Sn 0.326 0.163 0.250
Sn 0.674 0.837 0.750
Sn 0.837 0.163 0.250
Sn 0.837 0.674 0.250
```

=====

No. 3
Entry from the Materials Project database: a relaxed structure of CaAlF5 (r2SCAN). Values from VASP.

Values from the calculation:
Energy of formation ... -386.7 kJ/mol of atoms
Polymorph energy (0 for the lowest one) ... 0.02 eV per formula unit
Calculated density ... 2.987 g/cm3

```
&SYSTEM
  ibrav = 0, nat = 28, ntyp = 3
/
ATOMIC_SPECIES
Ca 40.08 Ca.upf
Al 26.98 Al.upf
F 19.00 F.upf
CELL_PARAMETERS angstrom
5.335 0.000 0.000
0.000 9.842 0.000
-2.464 0.000 6.862
ATOMIC_POSITIONS crystal
Ca 0.030 0.020 0.255
Ca 0.030 0.480 0.755
Ca 0.970 0.520 0.245
Ca 0.970 0.980 0.745
Al 0.394 0.247 0.599
Al 0.394 0.253 0.099
Al 0.606 0.747 0.901
Al 0.606 0.753 0.401
F 0.119 0.127 0.557
F 0.119 0.373 0.057
F 0.150 0.119 0.008
F 0.150 0.381 0.508
F 0.344 0.637 0.363
F 0.344 0.863 0.863
F 0.363 0.212 0.341
F 0.363 0.288 0.841
F 0.387 0.610 0.816
F 0.387 0.890 0.316
F 0.613 0.110 0.684
F 0.613 0.390 0.184
F 0.637 0.712 0.159
F 0.637 0.788 0.659
F 0.656 0.137 0.137
F 0.656 0.363 0.637
F 0.850 0.619 0.492
F 0.850 0.881 0.992
F 0.881 0.627 0.943
F 0.881 0.873 0.443
```